[1]
MgZn5 | PBE-GGA | relaxed

POSCAR file:
```
MgZn5
1.0
0.075 4.648 -1.164
-0.523 -3.317 -3.418
-4.738 0.207 0.523
Mg Zn
1 5
Direct
0.000 0.000 0.000
0.333 0.667 0.000
0.000 0.345 0.500
0.667 0.333 0.000
0.655 0.655 0.500
0.345 0.000 0.500
```

## Properties
Crystal system: hexagonal


[2]
KHgC3S3N3 | PBE-GGA | relaxed

POSCAR file:
```
KHgC3S3N3
1.0
-0.069 1.112 -4.019
-9.195 -6.532 -1.649
-10.098 5.169 1.604
S N K C Hg
6 6 2 6 2
Direct
0.250 0.100 0.062
0.750 0.900 0.938
0.750 0.504 0.875
0.750 0.183 0.331
0.250 0.496 0.125
0.250 0.817 0.669
0.750 0.568 0.605
0.750 0.729 0.206
0.250 0.084 0.616
0.250 0.271 0.794
0.750 0.916 0.384
0.250 0.432 0.395
0.250 0.719 0.401
0.750 0.281 0.599
0.250 0.203 0.906
0.750 0.542 0.717
0.750 0.027 0.362
0.250 0.973 0.638
0.250 0.458 0.283
0.750 0.797 0.094
0.750 0.735 0.850
0.250 0.265 0.150
```

## Properties
Total magnetization: 0.000 μB/cell
Crystal system: monoclinic


[3]
UBr | PBE-GGA | relaxed

POSCAR file:
```
UBr
1.0
-3.332 0.415 0.457
1.207 -0.761 -3.074
-0.442 -4.616 0.970
Br U
1 1
Direct
0.000 0.000 0.500
0.667 0.333 0.000
```

## Properties
Total magnetization: 2.850 μB/cell
Crystal system: hexagonal


[4]
ReTe2Br4 | PBE-GGA | relaxed

POSCAR file:
```
ReTe2Br4
1.0
7.923 7.708 -0.240
-6.385 4.905 7.578
3.292 -10.294 2.333
Te Br Re
8 16 4
Direct
0.928 0.348 0.028
0.299 0.671 0.268
0.403 0.031 0.732
0.329 0.597 0.628
0.320 0.900 0.972
0.652 0.680 0.580
0.100 0.072 0.420
0.969 0.701 0.372
0.985 0.389 0.842
0.252 0.305 0.714
0.007 0.796 0.126
0.944 0.354 0.301
0.646 0.947 0.590
0.695 0.408 0.946
0.670 0.882 0.874
0.592 0.538 0.286
0.857 0.015 0.405
0.053 0.643 0.699
0.611 0.453 0.595
0.357 0.056 0.410
0.118 0.993 0.788
0.547 0.143 0.158
0.462 0.748 0.054
0.204 0.330 0.212
0.438 0.788 0.583
0.204 0.855 0.417
0.212 0.796 0.651
0.145 0.562 0.349
```

## Properties
Crystal system: tetragonal


[5]
ErB4Ru4 | PBE-GGA | relaxed

POSCAR file:
```
ErB4Ru4
1.0
-3.737 3.737 7.514
3.737 -3.737 7.514
3.737 3.737 -7.514
Er B Ru
4 16 16
Direct
0.500 0.000 0.500
0.750 0.750 0.000
0.000 0.500 0.500
0.250 0.250 0.000
0.942 0.250 0.028
0.085 0.058 0.307
0.665 0.192 0.193
0.028 0.500 0.193
0.308 0.835 0.807
0.000 0.472 0.807
0.165 0.972 0.472
0.528 0.335 0.528
0.585 0.278 0.028
0.808 0.000 0.472
0.442 0.415 0.693
0.250 0.558 0.972
0.722 0.750 0.307
0.500 0.692 0.528
0.750 0.778 0.693
0.222 0.915 0.972
0.927 0.163 0.467
0.337 0.573 0.533
0.196 0.663 0.235
0.413 0.677 0.967
0.054 0.789 0.967
0.211 0.177 0.265
0.427 0.961 0.765
0.711 0.446 0.033
0.913 0.946 0.735
0.823 0.087 0.033
0.323 0.289 0.735
0.539 0.073 0.235
0.554 0.587 0.265
0.837 0.304 0.765
0.696 0.461 0.533
0.039 0.804 0.467
```

## Properties
Total magnetization: 0.027 μB/cell
Crystal system: tetragonal


[6]
Sr2GeS4 | PBE-GGA | relaxed

POSCAR file:
```
Sr2GeS4
1.0
-3.011 -2.587 5.486
-0.199 -6.100 -2.986
6.981 -4.023 1.934
Ge Sr S
2 4 8
Direct
0.750 0.730 0.198
0.250 0.270 0.802
0.250 0.762 0.435
0.750 0.278 0.053
0.250 0.722 0.947
0.750 0.238 0.565
0.250 0.095 0.077
0.503 0.490 0.741
0.497 0.510 0.259
0.750 0.923 0.373
0.003 0.510 0.259
0.997 0.490 0.741
0.250 0.077 0.627
0.750 0.905 0.923
```

## Properties
Crystal system: monoclinic


Number 1: ΔH_f (0 K) -0.14 eV/f.u.. Number 2: ΔH_f (0 K) -2.38 eV/f.u.. Number 3: ΔH_f (0 K) -1.15 eV/f.u.. Number 4: ΔH_f (0 K) -4.69 eV/f.u.. Number 5: ΔH_f (0 K) -4.51 eV/f.u.. Number 6: ΔH_f (0 K) -11.80 eV/f.u..